Record 1
A plane-wave DFT calculation with PBE was carried out for an optimized crystal structure of Mg3Cd.

Unit cell a=3.235 b=3.235 c=9.891 alpha=90.00 beta=90.00 gamma=120.00
Fractional coordinates of all 4 atoms:
Mg1 0.000 0.000 0.745
Mg2 0.000 0.000 0.255
Mg3 0.667 0.333 0.000
Cd1 0.667 0.333 0.500

---

Record 2
A plane-wave DFT calculation with PBE was carried out for an optimized crystal structure of MgCd2.

Unit cell a=5.458 b=5.458 c=6.292 alpha=61.18 beta=61.18 gamma=57.54
Fractional coordinates of all 6 atoms:
Cd1 0.580 0.752 0.756
Mg1 0.084 0.916 0.250
Cd2 0.752 0.580 0.256
Mg2 0.916 0.084 0.750
Cd3 0.248 0.420 0.744
Cd4 0.420 0.248 0.244

---

no.,V (Å³ per atom),ΔE_f (eV per atom)
1,22.416,-0.03
2,22.015,-0.07